Record 1
Density functional theory data (PBE+U) for crystalline NiH8I2O10 at its relaxed geometry.

total magnetization = 0.095 μB/atom
volume = 11.06 Å³ per atom
energy of formation = -23.8 eV per formula unit

a b c (Å): 8.3728 6.5779 8.5456
angles (deg): 90.00 99.15 90.00
Element x y z (fractional)
Ni (0.0000, 0.0000, 0.0000)
Ni (0.0000, 0.5000, 0.5000)
H (0.0090, 0.1258, 0.3025)
H (0.0090, 0.3742, 0.8025)
H (0.1548, 0.5056, 0.2626)
H (0.1548, 0.9944, 0.7626)
H (0.2637, 0.6101, 0.7219)
H (0.2637, 0.8899, 0.2219)
H (0.2729, 0.7169, 0.5537)
H (0.2729, 0.7831, 0.0537)
H (0.7271, 0.2169, 0.9463)
H (0.7271, 0.2831, 0.4463)
H (0.7363, 0.1101, 0.7781)
H (0.7363, 0.3899, 0.2781)
H (0.8452, 0.0056, 0.2374)
H (0.8452, 0.4944, 0.7374)
H (0.9910, 0.6258, 0.1975)
H (0.9910, 0.8742, 0.6975)
I (0.3313, 0.1795, 0.5267)
I (0.3313, 0.3205, 0.0267)
I (0.6687, 0.6795, 0.9733)
I (0.6687, 0.8205, 0.4733)
O (0.0687, 0.5921, 0.2952)
O (0.0687, 0.9079, 0.7952)
O (0.1113, 0.2176, 0.4708)
O (0.1113, 0.2824, 0.9708)
O (0.2376, 0.5923, 0.6054)
O (0.2376, 0.9077, 0.1054)
O (0.3362, 0.1192, 0.7363)
O (0.3362, 0.3808, 0.2363)
O (0.3378, 0.5785, 0.9425)
O (0.3378, 0.9215, 0.4425)
O (0.6622, 0.0785, 0.5575)
O (0.6622, 0.4215, 0.0575)
O (0.6638, 0.6192, 0.7637)
O (0.6638, 0.8808, 0.2637)
O (0.7624, 0.0923, 0.8946)
O (0.7624, 0.4077, 0.3946)
O (0.8887, 0.7176, 0.0292)
O (0.8887, 0.7824, 0.5292)
O (0.9313, 0.0921, 0.2048)
O (0.9313, 0.4079, 0.7048)

---

Record 2
Density functional theory data (PBE+U) for crystalline KLiMnP3HO10 at its relaxed geometry.

total magnetization = 0.294 μB/atom
volume = 13.56 Å³ per atom
energy of formation = -42.6 eV per formula unit

a b c (Å): 7.3676 7.4431 9.5696
angles (deg): 70.52 72.82 72.72
Element x y z (fractional)
K (0.0000, 0.0000, 0.0000)
K (0.1602, 0.8880, 0.5964)
Li (0.5724, 0.5737, 0.3176)
Li (0.9288, 0.2177, 0.2903)
Mn (0.0775, 0.4866, 0.3113)
Mn (0.5800, 0.9422, 0.8102)
P (0.3258, 0.3346, 0.5951)
P (0.3862, 0.1509, 0.1132)
P (0.4137, 0.5704, 0.0048)
P (0.7387, 0.3316, 0.6064)
P (0.7418, 0.7553, 0.4978)
P (0.8225, 0.5541, 0.0285)
H (0.1002, 0.4428, 0.7880)
H (0.5596, 0.9679, 0.2883)
O (0.1910, 0.4883, 0.6843)
O (0.2004, 0.1873, 0.2333)
O (0.2296, 0.6387, 0.1125)
O (0.2902, 0.3903, 0.4370)
O (0.3320, 0.1282, 0.6927)
O (0.3873, 0.0244, 0.0185)
O (0.4225, 0.3580, 0.9934)
O (0.4453, 0.7045, 0.8477)
O (0.5418, 0.3890, 0.5438)
O (0.5634, 0.7916, 0.4295)
O (0.5704, 0.0791, 0.1876)
O (0.5888, 0.5337, 0.0858)
O (0.7245, 0.1808, 0.7562)
O (0.7322, 0.8869, 0.5921)
O (0.7511, 0.5330, 0.6214)
O (0.8194, 0.7652, 0.9362)
O (0.8480, 0.5036, 0.1941)
O (0.9034, 0.2749, 0.4779)
O (0.9314, 0.7438, 0.3764)
O (0.9464, 0.3995, 0.9479)

---

Record 3
Density functional theory data (PBE+U) for crystalline K2LiV5H10O19 at its relaxed geometry.

total magnetization = 0.000 μB/atom
volume = 11.21 Å³ per atom
energy of formation = -71.1 eV per formula unit

a b c (Å): 8.6431 10.2540 10.9392
angles (deg): 69.04 87.06 67.04
Element x y z (fractional)
K (0.1784, 0.2079, 0.4892)
K (0.2645, 0.8287, 0.9206)
K (0.7355, 0.1713, 0.0794)
K (0.8216, 0.7921, 0.5108)
Li (0.0604, 0.3386, 0.1357)
Li (0.9396, 0.6614, 0.8643)
V (0.1708, 0.7914, 0.2722)
V (0.3133, 0.4966, 0.5189)
V (0.3758, 0.7906, 0.5025)
V (0.4696, 0.1995, 0.7700)
V (0.4736, 0.5073, 0.2475)
V (0.5264, 0.4927, 0.7525)
V (0.5304, 0.8005, 0.2300)
V (0.6242, 0.2094, 0.4975)
V (0.6867, 0.5034, 0.4811)
V (0.8292, 0.2086, 0.7278)
H (0.0018, 0.0913, 0.3288)
H (0.0757, 0.4642, 0.7200)
H (0.0976, 0.2423, 0.9375)
H (0.1043, 0.5274, 0.2414)
H (0.1385, 0.7473, 0.6798)
H (0.1658, 0.1022, 0.0679)
H (0.2356, 0.5143, 0.0419)
H (0.2636, 0.4328, 0.9426)
H (0.3775, 0.0884, 0.2762)
H (0.3914, 0.2460, 0.2370)
H (0.6086, 0.7540, 0.7630)
H (0.6225, 0.9116, 0.7238)
H (0.7364, 0.5672, 0.0574)
H (0.7644, 0.4857, 0.9581)
H (0.8342, 0.8978, 0.9321)
H (0.8615, 0.2527, 0.3202)
H (0.8957, 0.4726, 0.7586)
H (0.9024, 0.7577, 0.0625)
H (0.9243, 0.5358, 0.2800)
H (0.9982, 0.9087, 0.6712)
O (0.0222, 0.1062, 0.7987)
O (0.0267, 0.4763, 0.2490)
O (0.0406, 0.7986, 0.7203)
O (0.0753, 0.2045, 0.0288)
O (0.1264, 0.6264, 0.4241)
O (0.1723, 0.8721, 0.4027)
O (0.1749, 0.4895, 0.9867)
O (0.2503, 0.6381, 0.1961)
O (0.2642, 0.3617, 0.6472)
O (0.2995, 0.8892, 0.1704)
O (0.3103, 0.1993, 0.2439)
O (0.3179, 0.6170, 0.6224)
O (0.3400, 0.8917, 0.5964)
O (0.3877, 0.0892, 0.8701)
O (0.3977, 0.3773, 0.4118)
O (0.4334, 0.6244, 0.3936)
O (0.4405, 0.3524, 0.8419)
O (0.4816, 0.8783, 0.3666)
O (0.4960, 0.5999, 0.8415)
O (0.5040, 0.4001, 0.1585)
O (0.5184, 0.1217, 0.6334)
O (0.5595, 0.6476, 0.1581)
O (0.5666, 0.3756, 0.6064)
O (0.6023, 0.6227, 0.5882)
O (0.6123, 0.9108, 0.1299)
O (0.6600, 0.1083, 0.4036)
O (0.6821, 0.3830, 0.3776)
O (0.6897, 0.8007, 0.7561)
O (0.7005, 0.1108, 0.8296)
O (0.7358, 0.6383, 0.3528)
O (0.7497, 0.3619, 0.8039)
O (0.8251, 0.5105, 0.0133)
O (0.8277, 0.1279, 0.5973)
O (0.8736, 0.3736, 0.5759)
O (0.9247, 0.7955, 0.9712)
O (0.9594, 0.2014, 0.2797)
O (0.9733, 0.5237, 0.7510)
O (0.9778, 0.8938, 0.2013)

---

Record 4
Density functional theory data (PBE+U) for crystalline KLiH2WO5 at its relaxed geometry.

total magnetization = 0.000 μB/atom
volume = 13.89 Å³ per atom
energy of formation = -20.0 eV per formula unit

a b c (Å): 7.8679 13.0288 10.8374
angles (deg): 90.00 90.00 90.00
Element x y z (fractional)
K (0.1930, 0.1313, 0.1971)
K (0.1930, 0.3687, 0.6971)
K (0.3070, 0.6313, 0.1971)
K (0.3070, 0.8687, 0.6971)
K (0.6930, 0.1313, 0.3029)
K (0.6930, 0.3687, 0.8029)
K (0.8070, 0.6313, 0.3029)
K (0.8070, 0.8687, 0.8029)
Li (0.0177, 0.1772, 0.9307)
Li (0.0177, 0.3228, 0.4307)
Li (0.4823, 0.6772, 0.9307)
Li (0.4823, 0.8228, 0.4307)
Li (0.5177, 0.1772, 0.5693)
Li (0.5177, 0.3228, 0.0693)
Li (0.9823, 0.6772, 0.5693)
Li (0.9823, 0.8228, 0.0693)
H (0.1618, 0.5306, 0.4467)
H (0.1618, 0.9694, 0.9467)
H (0.2446, 0.6385, 0.4751)
H (0.2446, 0.8615, 0.9751)
H (0.2554, 0.1385, 0.4751)
H (0.2554, 0.3615, 0.9751)
H (0.3382, 0.0306, 0.4467)
H (0.3382, 0.4694, 0.9467)
H (0.6618, 0.5306, 0.0533)
H (0.6618, 0.9694, 0.5533)
H (0.7446, 0.6385, 0.0249)
H (0.7446, 0.8615, 0.5249)
H (0.7554, 0.1385, 0.0249)
H (0.7554, 0.3615, 0.5249)
H (0.8382, 0.0306, 0.0533)
H (0.8382, 0.4694, 0.5533)
W (0.0614, 0.6245, 0.8694)
W (0.0614, 0.8755, 0.3694)
W (0.4386, 0.1245, 0.8694)
W (0.4386, 0.3755, 0.3694)
W (0.5614, 0.6245, 0.6306)
W (0.5614, 0.8755, 0.1306)
W (0.9386, 0.1245, 0.6306)
W (0.9386, 0.3755, 0.1306)
O (0.0331, 0.0036, 0.6702)
O (0.0331, 0.4964, 0.1702)
O (0.0703, 0.1937, 0.5187)
O (0.0703, 0.3063, 0.0187)
O (0.0788, 0.7037, 0.7316)
O (0.0788, 0.7963, 0.2316)
O (0.1356, 0.6052, 0.4496)
O (0.1356, 0.8948, 0.9496)
O (0.2276, 0.1006, 0.9340)
O (0.2276, 0.3994, 0.4340)
O (0.2724, 0.6006, 0.9340)
O (0.2724, 0.8994, 0.4340)
O (0.3644, 0.1052, 0.4496)
O (0.3644, 0.3948, 0.9496)
O (0.4212, 0.2037, 0.7316)
O (0.4212, 0.2963, 0.2316)
O (0.4297, 0.6937, 0.5187)
O (0.4297, 0.8063, 0.0187)
O (0.4669, 0.5036, 0.6702)
O (0.4669, 0.9964, 0.1702)
O (0.5331, 0.0036, 0.8298)
O (0.5331, 0.4964, 0.3298)
O (0.5703, 0.1937, 0.9813)
O (0.5703, 0.3063, 0.4813)
O (0.5788, 0.7037, 0.7684)
O (0.5788, 0.7963, 0.2684)
O (0.6356, 0.6052, 0.0504)
O (0.6356, 0.8948, 0.5504)
O (0.7276, 0.1006, 0.5660)
O (0.7276, 0.3994, 0.0660)
O (0.7724, 0.6006, 0.5660)
O (0.7724, 0.8994, 0.0660)
O (0.8644, 0.1052, 0.0504)
O (0.8644, 0.3948, 0.5504)
O (0.9212, 0.2037, 0.7684)
O (0.9212, 0.2963, 0.2684)
O (0.9297, 0.6937, 0.9813)
O (0.9297, 0.8063, 0.4813)
O (0.9669, 0.5036, 0.8298)
O (0.9669, 0.9964, 0.3298)

---

Record 5
Density functional theory data (PBE+U) for crystalline K2MgMn2P6H2O20 at its relaxed geometry.

total magnetization = 0.303 μB/atom
excess energy over the best structure of this formula in the dataset = 14 meV per atom
volume = 14.87 Å³ per atom
energy of formation = -83.2 eV per formula unit

a b c (Å): 7.5783 7.6683 9.8051
angles (deg): 71.93 69.99 69.87
Element x y z (fractional)
K (0.0000, 0.0000, 0.0000)
K (0.1103, 0.9816, 0.4361)
Mg (0.2457, 0.3419, 0.8662)
Mn (0.0909, 0.5088, 0.2363)
Mn (0.6124, 0.0006, 0.7330)
P (0.2869, 0.3710, 0.5318)
P (0.4762, 0.6600, 0.0225)
P (0.4906, 0.2626, 0.0228)
P (0.6998, 0.7772, 0.4366)
P (0.7022, 0.3793, 0.4541)
P (0.8919, 0.6575, 0.9314)
H (0.0659, 0.5715, 0.6572)
H (0.5657, 0.9890, 0.2643)
O (0.0193, 0.6513, 0.0239)
O (0.1770, 0.5799, 0.5659)
O (0.1926, 0.3206, 0.4426)
O (0.2677, 0.2918, 0.0938)
O (0.3074, 0.2364, 0.6827)
O (0.3255, 0.6456, 0.1697)
O (0.4258, 0.8357, 0.9038)
O (0.4961, 0.3956, 0.4280)
O (0.5218, 0.2081, 0.8756)
O (0.5263, 0.4755, 0.9562)
O (0.5274, 0.8906, 0.3593)
O (0.6243, 0.1402, 0.1193)
O (0.6534, 0.5698, 0.5120)
O (0.6797, 0.8543, 0.5658)
O (0.6812, 0.6407, 0.0481)
O (0.7479, 0.2104, 0.5765)
O (0.8524, 0.3806, 0.3070)
O (0.8608, 0.8426, 0.8155)
O (0.8963, 0.7572, 0.3227)
O (0.9786, 0.4805, 0.8596)

---

Record 6
Density functional theory data (PBE+U) for crystalline K2MgMn2P6H2O20 at its relaxed geometry.

total magnetization = 0.303 μB/atom
excess energy over the best structure of this formula in the dataset = 0 meV per atom
volume = 14.92 Å³ per atom
energy of formation = -83.7 eV per formula unit

a b c (Å): 7.4419 7.4917 10.1464
angles (deg): 71.59 71.04 71.34
Element x y z (fractional)
K (0.0000, 0.0000, 0.0000)
K (0.0294, 0.8492, 0.5670)
Mg (0.6290, 0.6549, 0.2437)
Mn (0.0142, 0.4088, 0.2995)
Mn (0.5030, 0.9195, 0.7791)
P (0.1802, 0.2601, 0.5978)
P (0.3668, 0.1452, 0.0807)
P (0.3889, 0.5490, 0.0542)
P (0.5968, 0.2976, 0.5097)
P (0.6068, 0.6796, 0.5022)
P (0.8127, 0.5917, 0.9698)
H (0.0012, 0.4235, 0.7683)
H (0.4632, 0.9644, 0.2781)
O (0.0637, 0.4457, 0.6575)
O (0.0869, 0.2376, 0.4935)
O (0.1680, 0.1847, 0.1834)
O (0.2249, 0.0817, 0.7153)
O (0.2409, 0.5565, 0.1959)
O (0.3448, 0.6972, 0.9223)
O (0.3821, 0.3215, 0.4956)
O (0.3879, 0.0746, 0.9531)
O (0.4402, 0.7653, 0.4214)
O (0.4578, 0.3340, 0.0252)
O (0.5199, 0.9862, 0.1710)
O (0.5788, 0.4597, 0.5883)
O (0.5853, 0.5682, 0.0802)
O (0.6026, 0.7687, 0.6148)
O (0.6715, 0.1063, 0.6023)
O (0.7107, 0.3539, 0.3532)
O (0.7770, 0.7727, 0.8517)
O (0.7979, 0.6607, 0.3801)
O (0.8817, 0.6221, 0.0878)
O (0.9131, 0.4035, 0.9235)

---

Record 7
Density functional theory data (PBE+U) for crystalline K2MgMn2P6H2O20 at its relaxed geometry.

total magnetization = 0.303 μB/atom
excess energy over the best structure of this formula in the dataset = 24 meV per atom
volume = 13.75 Å³ per atom
energy of formation = -82.9 eV per formula unit

a b c (Å): 7.1790 7.2592 9.9464
angles (deg): 71.81 74.28 69.51
Element x y z (fractional)
K (0.0894, 0.4111, 0.1615)
K (0.9106, 0.5889, 0.8385)
Mg (0.0000, 0.5000, 0.5000)
Mn (0.0000, 0.0000, 0.0000)
Mn (0.5000, 0.5000, 0.5000)
P (0.2208, 0.8601, 0.3087)
P (0.3266, 0.1429, 0.7130)
P (0.3497, 0.6996, 0.7981)
P (0.6503, 0.3004, 0.2019)
P (0.6734, 0.8571, 0.2870)
P (0.7792, 0.1399, 0.6913)
H (0.0000, 0.0000, 0.5000)
H (0.5000, 0.5000, 0.0000)
O (0.0963, 0.0377, 0.3794)
O (0.1528, 0.7367, 0.9066)
O (0.1955, 0.6546, 0.4061)
O (0.2067, 0.9009, 0.1544)
O (0.2099, 0.1683, 0.8593)
O (0.2306, 0.2898, 0.5865)
O (0.3459, 0.5980, 0.6871)
O (0.3836, 0.9175, 0.6975)
O (0.4574, 0.8192, 0.3221)
O (0.4668, 0.4040, 0.1244)
O (0.5332, 0.5960, 0.8756)
O (0.5426, 0.1808, 0.6779)
O (0.6164, 0.0825, 0.3025)
O (0.6541, 0.4020, 0.3129)
O (0.7694, 0.7102, 0.4135)
O (0.7901, 0.8317, 0.1407)
O (0.7933, 0.0991, 0.8456)
O (0.8045, 0.3454, 0.5939)
O (0.8472, 0.2633, 0.0934)
O (0.9037, 0.9623, 0.6206)

---

Record 8
Density functional theory data (PBE+U) for crystalline K2MgMn2P6H2O20 at its relaxed geometry.

total magnetization = 0.303 μB/atom
excess energy over the best structure of this formula in the dataset = 5 meV per atom
volume = 14.36 Å³ per atom
energy of formation = -83.5 eV per formula unit

a b c (Å): 7.3257 7.4469 9.4648
angles (deg): 76.01 74.77 75.61
Element x y z (fractional)
K (0.0000, 0.0000, 0.0000)
K (0.0945, 0.9230, 0.4726)
Mg (0.4376, 0.5329, 0.7474)
Mn (0.0374, 0.4446, 0.2926)
Mn (0.5359, 0.9380, 0.7802)
P (0.2537, 0.2793, 0.5983)
P (0.4027, 0.1429, 0.0948)
P (0.4294, 0.5498, 0.0549)
P (0.6551, 0.6929, 0.4746)
P (0.6658, 0.2713, 0.4897)
P (0.8357, 0.6057, 0.9735)
H (0.0311, 0.4406, 0.8093)
H (0.5603, 0.9269, 0.2506)
O (0.0967, 0.3266, 0.5123)
O (0.2208, 0.1817, 0.2117)
O (0.2445, 0.4349, 0.6889)
O (0.2716, 0.0841, 0.6972)
O (0.2875, 0.5695, 0.1972)
O (0.3848, 0.0555, 0.9723)
O (0.3887, 0.6826, 0.9103)
O (0.4547, 0.2815, 0.4671)
O (0.4620, 0.3490, 0.0010)
O (0.5135, 0.7753, 0.3730)
O (0.5753, 0.7504, 0.6289)
O (0.5860, 0.0416, 0.1600)
O (0.6339, 0.5545, 0.0788)
O (0.6347, 0.4638, 0.5526)
O (0.7122, 0.1128, 0.6167)
O (0.7954, 0.7916, 0.8676)
O (0.8086, 0.2808, 0.3435)
O (0.8653, 0.6928, 0.4035)
O (0.9080, 0.4316, 0.8883)
O (0.9617, 0.5999, 0.0775)

---

Record 9
Density functional theory data (PBE+U) for crystalline K2MgMo2H4O10 at its relaxed geometry.

total magnetization = 0.000 μB/atom
excess energy over the best structure of this formula in the dataset = 191 meV per atom
volume = 16.95 Å³ per atom
energy of formation = -34.3 eV per formula unit

a b c (Å): 5.5429 7.8931 8.2638
angles (deg): 106.70 90.56 110.45
Element x y z (fractional)
K (0.1128, 0.2136, 0.2484)
K (0.8872, 0.7864, 0.7516)
Mg (0.5000, 0.0000, 0.5000)
Mo (0.0410, 0.3394, 0.7549)
Mo (0.9590, 0.6606, 0.2451)
H (0.1550, 0.0939, 0.5293)
H (0.4800, 0.5055, 0.1881)
H (0.5200, 0.4945, 0.8119)
H (0.8450, 0.9061, 0.4707)
O (0.0117, 0.8332, 0.1399)
O (0.1349, 0.7852, 0.4592)
O (0.1459, 0.5233, 0.1617)
O (0.3293, 0.1845, 0.5778)
O (0.3803, 0.5435, 0.8038)
O (0.6197, 0.4565, 0.1962)
O (0.6707, 0.8155, 0.4222)
O (0.8541, 0.4767, 0.8383)
O (0.8651, 0.2148, 0.5408)
O (0.9883, 0.1668, 0.8601)